[1]
First-principles (PBE+U) data for crystalline Li5V3P8O29 at its relaxed geometry, as listed in the Materials Project database.

Unit cell a=9.768 b=9.768 c=14.067 alpha=89.76 beta=89.75 gamma=60.21
Element x y z (fractional)
O 0.347 0.912 0.170
O 0.095 0.384 0.320
O 0.923 0.337 0.659
O 0.656 0.088 0.836
O 0.754 0.000 0.437
O 0.227 0.788 0.069
O 0.527 0.385 0.826
O 0.511 0.676 0.832
O 0.377 0.519 0.323
O 0.678 0.805 0.828
O 0.743 0.339 0.163
O 0.918 0.746 0.164
O 0.199 0.014 0.739
O 0.078 0.663 0.340
O 0.187 0.488 0.176
O 0.248 0.997 0.563
O 0.081 0.537 0.830
O 0.327 0.344 0.024
O 0.376 0.084 0.831
O 0.204 0.990 0.918
O 0.799 0.992 0.260
O 0.687 0.659 0.475
O 0.257 0.661 0.839
O 0.184 0.332 0.682
O 0.749 0.918 0.660
O 0.996 0.246 0.429
O 0.910 0.473 0.171
O 0.078 0.257 0.840
O 0.205 0.791 0.250
O 0.239 0.758 0.430
O 0.998 0.208 0.250
O 0.010 0.790 0.743
O 0.674 0.512 0.330
O 0.252 0.084 0.341
O 0.620 0.924 0.165
O 0.903 0.619 0.680
O 0.768 0.231 0.929
O 0.761 0.244 0.569
O 0.991 0.231 0.067
O 0.323 0.195 0.174
O 0.517 0.813 0.333
O 0.624 0.483 0.677
O 0.337 0.748 0.659
O 0.489 0.324 0.169
O 0.804 0.007 0.082
O 0.000 0.752 0.566
O 0.521 0.096 0.325
O 0.478 0.906 0.677
O 0.997 0.793 0.925
O 0.315 0.331 0.527
O 0.817 0.670 0.322
O 0.328 0.487 0.668
O 0.484 0.186 0.671
O 0.814 0.506 0.825
O 0.680 0.643 0.975
O 0.793 0.209 0.748
O 0.470 0.616 0.171
O 0.662 0.253 0.344
Li 0.903 0.770 0.438
Li 0.010 0.944 0.010
Li 0.090 0.223 0.555
Li 0.771 0.323 0.438
Li 0.328 0.767 0.943
Li 0.670 0.231 0.059
Li 0.226 0.681 0.559
Li 0.322 0.905 0.434
Li 0.683 0.092 0.563
Li 0.906 0.329 0.945
P 0.913 0.770 0.658
P 0.684 0.230 0.840
P 0.779 0.919 0.161
P 0.228 0.680 0.340
P 0.315 0.772 0.159
P 0.668 0.664 0.871
P 0.334 0.333 0.129
P 0.087 0.233 0.340
P 0.333 0.333 0.632
P 0.221 0.083 0.840
P 0.680 0.086 0.345
P 0.671 0.665 0.369
P 0.913 0.313 0.157
P 0.771 0.323 0.658
P 0.084 0.696 0.843
P 0.319 0.915 0.655
V 0.432 0.004 0.246
V 0.434 0.569 0.751
V 0.001 0.437 0.755
V 0.568 0.998 0.756
V 0.002 0.568 0.242
V 0.565 0.433 0.251

Results
spin magnetization: 2.00 μB per formula unit
energy relative to the lowest polymorph listed for this composition: 9 meV/atom
formation energy: -2.61 eV per atom

---

[2]
First-principles (PBE+U) data for crystalline Li7V3P8O29 at its relaxed geometry, as listed in the Materials Project database.

Unit cell a=9.789 b=9.805 c=13.800 alpha=89.85 beta=89.71 gamma=60.16
Element x y z (fractional)
P 0.086 0.226 0.844
P 0.227 0.683 0.844
P 0.315 0.911 0.156
P 0.685 0.089 0.847
P 0.312 0.775 0.655
P 0.683 0.226 0.343
P 0.337 0.333 0.127
P 0.329 0.335 0.625
P 0.776 0.913 0.657
P 0.913 0.776 0.158
P 0.913 0.317 0.655
P 0.667 0.666 0.875
P 0.670 0.663 0.373
P 0.224 0.090 0.343
P 0.773 0.318 0.156
P 0.088 0.684 0.346
V 0.433 0.570 0.255
V 0.005 0.433 0.244
V 0.996 0.570 0.754
V 0.435 0.001 0.750
V 0.565 0.434 0.749
V 0.568 0.996 0.254
Li 0.905 0.329 0.437
Li 0.328 0.906 0.937
Li 0.233 0.671 0.062
Li 0.670 0.232 0.564
Li 0.000 0.999 0.997
Li 0.235 0.093 0.562
Li 0.009 0.972 0.498
Li 0.095 0.670 0.563
Li 0.331 0.335 0.883
Li 0.673 0.092 0.062
Li 0.663 0.671 0.616
Li 0.670 0.669 0.117
Li 0.333 0.334 0.382
Li 0.766 0.330 0.936
O 0.524 0.660 0.329
O 0.518 0.374 0.330
O 0.256 0.659 0.337
O 0.010 0.776 0.073
O 0.623 0.480 0.168
O 0.820 0.516 0.331
O 0.668 0.667 0.983
O 0.894 0.628 0.168
O 0.746 0.921 0.158
O 0.789 0.212 0.250
O 0.663 0.082 0.341
O 0.078 0.256 0.339
O 0.008 0.768 0.437
O 0.814 0.665 0.829
O 0.186 0.338 0.172
O 0.916 0.340 0.159
O 0.252 0.080 0.844
O 0.781 0.008 0.573
O 0.769 0.006 0.938
O 0.516 0.814 0.835
O 0.211 0.000 0.250
O 0.337 0.483 0.167
O 0.671 0.514 0.837
O 0.993 0.792 0.255
O 0.212 0.778 0.573
O 0.373 0.108 0.330
O 0.518 0.108 0.833
O 0.104 0.374 0.832
O 0.989 0.225 0.927
O 0.326 0.186 0.664
O 0.483 0.330 0.662
O 0.335 0.744 0.160
O 0.484 0.182 0.167
O 0.480 0.895 0.169
O 0.895 0.482 0.668
O 0.231 0.993 0.065
O 0.080 0.666 0.840
O 0.790 0.994 0.755
O 0.769 0.233 0.432
O 0.922 0.746 0.658
O 0.182 0.485 0.668
O 0.663 0.814 0.329
O 0.224 0.006 0.434
O 0.102 0.521 0.332
O 0.228 0.772 0.934
O 0.627 0.895 0.667
O 0.374 0.518 0.833
O 0.479 0.628 0.666
O 0.331 0.922 0.656
O 0.005 0.210 0.746
O 0.218 0.789 0.754
O 0.325 0.338 0.516
O 0.769 0.229 0.068
O 0.335 0.337 0.019
O 0.004 0.232 0.564
O 0.667 0.254 0.841
O 0.671 0.659 0.481
O 0.748 0.333 0.655

Results
spin magnetization: 4.00 μB per formula unit
energy relative to the lowest polymorph listed for this composition: 14 meV/atom
formation energy: -2.68 eV per atom

---

[3]
First-principles (PBE+U) data for crystalline Li8V3P8O29 at its relaxed geometry, as listed in the Materials Project database.

Unit cell a=9.878 b=9.894 c=13.822 alpha=89.69 beta=89.66 gamma=60.11
Element x y z (fractional)
P 0.336 0.335 0.376
P 0.229 0.683 0.657
P 0.667 0.664 0.124
P 0.679 0.232 0.157
P 0.314 0.912 0.343
P 0.093 0.679 0.157
P 0.665 0.667 0.624
P 0.230 0.090 0.157
P 0.771 0.314 0.343
P 0.089 0.227 0.655
P 0.768 0.911 0.844
P 0.334 0.335 0.875
P 0.683 0.091 0.656
P 0.914 0.772 0.344
P 0.908 0.322 0.843
P 0.321 0.767 0.844
O 0.665 0.653 0.517
O 0.214 0.785 0.751
O 0.996 0.230 0.567
O 0.782 0.003 0.751
O 0.490 0.192 0.341
O 0.469 0.908 0.334
O 0.343 0.334 0.984
O 0.753 0.253 0.067
O 0.619 0.471 0.331
O 0.334 0.349 0.485
O 0.629 0.883 0.829
O 0.331 0.188 0.837
O 0.110 0.371 0.666
O 0.813 0.513 0.161
O 0.370 0.117 0.174
O 0.079 0.249 0.156
O 0.882 0.488 0.829
O 0.788 0.210 0.249
O 0.189 0.485 0.837
O 0.998 0.218 0.750
O 0.246 0.745 0.933
O 0.776 0.000 0.568
O 0.211 0.000 0.249
O 0.653 0.663 0.016
O 0.751 0.005 0.933
O 0.770 0.224 0.433
O 0.905 0.623 0.333
O 0.487 0.625 0.825
O 0.083 0.668 0.655
O 0.999 0.759 0.068
O 0.254 0.669 0.157
O 0.753 0.920 0.342
O 0.004 0.786 0.249
O 0.118 0.513 0.172
O 0.192 0.326 0.340
O 0.671 0.253 0.657
O 0.921 0.753 0.844
O 0.668 0.083 0.154
O 0.485 0.334 0.831
O 0.249 0.995 0.068
O 0.669 0.812 0.159
O 0.669 0.513 0.670
O 0.516 0.664 0.170
O 0.328 0.489 0.333
O 0.377 0.521 0.669
O 0.235 0.771 0.567
O 0.001 0.241 0.932
O 0.331 0.749 0.341
O 0.514 0.374 0.175
O 0.330 0.916 0.846
O 0.249 0.077 0.656
O 0.217 0.999 0.432
O 0.917 0.331 0.344
O 0.513 0.810 0.664
O 0.748 0.330 0.843
O 0.003 0.776 0.433
O 0.519 0.111 0.665
O 0.810 0.673 0.663
Li 0.002 0.998 0.496
Li 0.331 0.331 0.618
Li 0.907 0.318 0.064
Li 0.777 0.908 0.064
Li 0.668 0.669 0.883
Li 0.670 0.096 0.434
Li 0.338 0.898 0.561
Li 0.313 0.778 0.062
Li 0.234 0.670 0.435
Li 0.096 0.232 0.434
Li 0.330 0.332 0.120
Li 0.765 0.338 0.559
Li 0.900 0.766 0.561
Li 0.684 0.224 0.940
Li 0.091 0.682 0.939
Li 0.223 0.091 0.939
V 0.000 0.567 0.750
V 0.434 0.999 0.751
V 0.437 0.566 0.250
V 0.000 0.434 0.251
V 0.567 0.000 0.251
V 0.567 0.434 0.750

Results
spin magnetization: 5.00 μB per formula unit
energy relative to the lowest polymorph listed for this composition: 11 meV/atom
formation energy: -2.72 eV per atom

---

[4]
First-principles (PBE+U) data for crystalline Li5V3P8O29 at its relaxed geometry, as listed in the Materials Project database.

Unit cell a=9.739 b=9.828 c=14.045 alpha=90.78 beta=89.90 gamma=119.58
Element x y z (fractional)
O 0.898 0.518 0.673
O 0.901 0.381 0.181
O 0.321 0.655 0.024
O 0.383 0.479 0.825
O 0.476 0.091 0.183
O 0.658 0.918 0.338
O 0.179 0.509 0.670
O 0.687 0.356 0.479
O 0.251 0.008 0.064
O 0.795 0.789 0.421
O 0.201 0.988 0.244
O 0.753 0.002 0.934
O 0.475 0.662 0.669
O 0.515 0.186 0.830
O 0.616 0.522 0.175
O 0.526 0.629 0.333
O 0.799 0.013 0.756
O 0.756 0.754 0.065
O 0.748 0.084 0.160
O 0.192 0.994 0.425
O 0.261 0.348 0.338
O 0.207 0.215 0.579
O 0.252 0.916 0.839
O 0.806 0.007 0.574
O 0.315 0.644 0.522
O 0.243 0.247 0.936
O 0.665 0.753 0.838
O 0.325 0.806 0.668
O 0.332 0.513 0.170
O 0.372 0.902 0.336
O 0.628 0.099 0.664
O 0.823 0.493 0.331
O 0.096 0.620 0.819
O 0.678 0.195 0.331
O 0.485 0.813 0.168
O 0.684 0.337 0.976
O 0.011 0.237 0.432
O 0.341 0.083 0.663
O 0.184 0.661 0.178
O 0.475 0.372 0.669
O 0.003 0.246 0.071
O 0.989 0.758 0.923
O 0.923 0.261 0.664
O 0.007 0.794 0.742
O 0.817 0.332 0.823
O 0.101 0.482 0.330
O 0.524 0.908 0.818
O 0.784 0.797 0.242
O 0.084 0.339 0.842
O 0.003 0.213 0.251
O 0.912 0.658 0.163
O 0.667 0.484 0.832
O 0.985 0.754 0.563
O 0.215 0.205 0.759
O 0.336 0.250 0.166
O 0.527 0.338 0.332
O 0.741 0.654 0.665
O 0.078 0.740 0.336
P 0.913 0.231 0.161
P 0.665 0.334 0.870
P 0.085 0.772 0.838
P 0.219 0.915 0.342
P 0.675 0.340 0.372
P 0.337 0.663 0.129
P 0.781 0.087 0.657
P 0.091 0.321 0.344
P 0.910 0.681 0.655
P 0.310 0.223 0.660
P 0.235 0.322 0.845
P 0.683 0.917 0.841
P 0.329 0.662 0.628
P 0.690 0.778 0.341
P 0.764 0.679 0.156
P 0.317 0.083 0.158
V 0.428 0.996 0.745
V 0.571 0.005 0.255
V 0.435 0.430 0.255
V 0.001 0.434 0.751
V 0.565 0.569 0.747
V 0.001 0.573 0.245
Li 0.342 0.676 0.391
Li 0.905 0.672 0.438
Li 0.232 0.321 0.066
Li 0.999 0.001 0.495
Li 0.091 0.323 0.558
Li 0.908 0.228 0.944
Li 0.770 0.679 0.939
Li 0.311 0.084 0.939
Li 0.650 0.317 0.607
Li 0.679 0.908 0.063

Results
spin magnetization: 2.00 μB per formula unit
energy relative to the lowest polymorph listed for this composition: 6 meV/atom
formation energy: -2.61 eV per atom